Cu2GeSe3 | PBE | relaxed

The structure in POSCAR format:
```
Cu2GeSe3
1.0
4.5664 -1.2818 4.9488
-1.4612 1.6785 6.4833
-1.9463 -3.6125 -5.4907
Ge Cu Se
1 2 3
direct
0.7334 0.5000 0.2334 Ge
0.4300 0.1673 0.2627 Cu
0.0954 0.8327 0.2627 Cu
0.0090 0.0000 0.0090 Se
0.3263 0.3292 0.9971 Se
0.6679 0.6708 0.9971 Se
```

## Properties
Calculated formation energy: -2.887 eV/f.u.
Symmetry: No. 44
Crystal system: orthorhombic
ΔE to the lowest computed polymorph: 0 meV per atom
Total DFT energy (no corrections): -4.13 eV/atom

Tb3CuGeSe7 | PBE | relaxed

The structure in POSCAR format:
```
Tb3CuGeSe7
1.0
5.1900 -8.9893 0.0000
5.1900 8.9893 0.0000
0.0000 0.0000 6.1040
Cu Se Tb Ge
2 14 6 2
direct
0.0000 0.0000 0.2077 Cu
0.0000 0.0000 0.7077 Cu
0.8396 0.1013 0.7254 Se
0.4249 0.5181 0.5046 Se
0.4819 0.9068 0.5046 Se
0.6667 0.3333 0.4518 Se
0.0932 0.5751 0.5046 Se
0.8987 0.7383 0.7254 Se
0.1013 0.2617 0.2254 Se
0.3333 0.6667 0.9518 Se
0.5751 0.4819 0.0046 Se
0.9068 0.4249 0.0046 Se
0.5181 0.0932 0.0046 Se
0.2617 0.1604 0.7254 Se
0.7383 0.8396 0.2254 Se
0.1604 0.8987 0.2254 Se
0.7792 0.1348 0.2563 Tb
0.6444 0.7792 0.7563 Tb
0.1348 0.3556 0.7563 Tb
0.3556 0.2208 0.2563 Tb
0.2208 0.8652 0.7563 Tb
0.8652 0.6444 0.2563 Tb
0.6667 0.3333 0.8388 Ge
0.3333 0.6667 0.3388 Ge
```

## Properties
Calculated formation energy: -18.561 eV/f.u.
Symmetry: No. 173
Crystal system: hexagonal
Total DFT energy (no corrections): -5.20 eV/atom

ZnCu2GeSe4 | PBE | relaxed

The structure in POSCAR format:
```
ZnCu2GeSe4
1.0
2.8986 2.2520 5.8630
-4.7060 3.4544 3.7106
-0.1500 -6.2495 -2.9613
Se Cu Zn Ge
4 2 1 1
direct
0.1244 0.1244 0.5088 Se
0.8756 0.3845 0.0000 Se
0.6155 0.6155 0.4912 Se
0.3845 0.8756 0.0000 Se
0.7500 0.2500 0.5000 Cu
0.2500 0.7500 0.5000 Cu
0.0000 0.0000 0.0000 Zn
0.5000 0.5000 0.0000 Ge
```

## Properties
Calculated formation energy: -4.758 eV/f.u.
Symmetry: No. 121
Crystal system: tetragonal
Total DFT energy (no corrections): -3.87 eV/atom

SmCu2Ge2 | PBE | relaxed

The structure in POSCAR format:
```
SmCu2Ge2
1.0
-2.0542 2.0542 5.1649
2.0542 -2.0542 5.1649
2.0542 2.0542 -5.1649
Sm Ge Cu
1 2 2
direct
0.0000 0.0000 0.0000 Sm
0.3790 0.3790 0.0000 Ge
0.6210 0.6210 0.0000 Ge
0.7500 0.2500 0.5000 Cu
0.2500 0.7500 0.5000 Cu
```

## Properties
Calculated formation energy: -2.652 eV/f.u.
Symmetry: No. 139
Crystal system: tetragonal
Total DFT energy (no corrections): -4.96 eV/atom

Cu6SnGe | PBE | relaxed

The structure in POSCAR format:
```
Cu6SnGe
1.0
-1.0892 -3.9623 1.1733
4.3971 -0.8516 1.2060
-1.0566 1.8096 5.1302
Cu Sn Ge
6 1 1
direct
0.5000 0.8430 0.7347 Cu
0.0000 0.6674 0.5000 Cu
0.0000 0.1658 0.7350 Cu
0.5000 0.8430 0.2653 Cu
0.5000 0.3061 0.0000 Cu
0.0000 0.1658 0.2650 Cu
0.0000 0.6724 0.0000 Sn
0.5000 0.3365 0.5000 Ge
```

## Properties
Calculated formation energy: 0.081 eV/f.u.
Symmetry: No. 25
Crystal system: orthorhombic
Total DFT energy (no corrections): -4.14 eV/atom

TbCu2Ge2 | PBE | relaxed

The structure in POSCAR format:
```
TbCu2Ge2
1.0
3.5184 -4.7205 0.5842
-0.8015 -3.9904 4.2940
-3.0922 2.8500 -4.1616
Ge Tb Cu
2 1 2
direct
0.3806 0.3806 0.0000 Ge
0.6194 0.6194 0.0000 Ge
0.0000 0.0000 0.0000 Tb
0.2500 0.7500 0.5000 Cu
0.7500 0.2500 0.5000 Cu
```

## Properties
Calculated formation energy: -2.550 eV/f.u.
Symmetry: No. 139
Crystal system: tetragonal
Total DFT energy (no corrections): -4.93 eV/atom

- Number 6 is which compound?
  TbCu2Ge2

- Which of these has the highest calculated formation energy?
  Cu6SnGe